Compound: MgSO11
Source: Materials Project
Functional: GGA-PBE
Structure: relaxed

Output
Energy of formation from the pure elements ... -0.67 eV/atom

Lattice parameters (Å, degrees): 4.6496 11.7645 15.8366 90.00 90.00 90.00
Closest atoms and distances in Å follow each position.
Element x y z (fractional)
O (0.3439, 0.9901, 0.7750)  1 O 1.23
O (0.1751, 0.0657, 0.7954)  1 O 1.23
O (0.7419, 0.7754, 0.3673)  1 O 1.37
O (0.1446, 0.8962, 0.4753)  1 S 1.50
O (0.7010, 0.8783, 0.5524)  1 S 1.50
O (0.8921, 0.8037, 0.7098)  1 O 1.32
O (0.1725, 0.7951, 0.6988)  2 O 1.32-1.37
O (0.4470, 0.7480, 0.9083)  1 O 1.22
O (0.3275, 0.2049, 0.1988)  2 O 1.32-1.37
O (0.7590, 0.9805, 0.9399)  1 S 1.47
O (0.5530, 0.2480, 0.5917)  1 O 1.22
O (0.0476, 0.7942, 0.1555)  1 O 1.22
O (0.3921, 0.6963, 0.2902)  1 O 1.32
O (0.2419, 0.7246, 0.6327)  1 O 1.37
O (0.7581, 0.2246, 0.8673)  1 O 1.37
O (0.9896, 0.0487, 0.5702)  1 S 1.46
O (0.0104, 0.5487, 0.9298)  1 S 1.46
O (0.6446, 0.6038, 0.5247)  1 S 1.50
O (0.5476, 0.7058, 0.8445)  1 O 1.22
O (0.2581, 0.2754, 0.1327)  1 O 1.37
O (0.3249, 0.9343, 0.2954)  1 O 1.23
O (0.6079, 0.1963, 0.2098)  1 O 1.32
O (0.5104, 0.9513, 0.0702)  1 S 1.46
O (0.8439, 0.5099, 0.2250)  1 O 1.23
O (0.4896, 0.4513, 0.4298)  1 S 1.46
O (0.8554, 0.3962, 0.0247)  1 S 1.50
O (0.0530, 0.2520, 0.4083)  1 O 1.22
O (0.4524, 0.2058, 0.6555)  1 O 1.22
O (0.1561, 0.0099, 0.2750)  1 O 1.23
O (0.9524, 0.2942, 0.3445)  1 O 1.22
O (0.1079, 0.3037, 0.7902)  1 O 1.32
O (0.2010, 0.6217, 0.4476)  1 S 1.50
O (0.2590, 0.5195, 0.0601)  1 S 1.47
O (0.9470, 0.7520, 0.0917)  1 O 1.22
O (0.3554, 0.1038, 0.9753)  1 S 1.50
O (0.6561, 0.4901, 0.7250)  1 O 1.23
O (0.8275, 0.2951, 0.8012)  2 O 1.32-1.37
O (0.6725, 0.7049, 0.3012)  2 O 1.32-1.37
O (0.2410, 0.4805, 0.5601)  1 S 1.47
O (0.8249, 0.5657, 0.7046)  1 O 1.23
O (0.7410, 0.0195, 0.4399)  1 S 1.47
O (0.7990, 0.1217, 0.0524)  1 S 1.50
O (0.2990, 0.3783, 0.9476)  1 S 1.50
O (0.6751, 0.4343, 0.2046)  1 O 1.23
Mg (0.8095, 0.2726, 0.1046)  4 O 1.94-2.13
Mg (0.3095, 0.2274, 0.8954)  4 O 1.94-2.13
Mg (0.1905, 0.7726, 0.3954)  4 O 1.94-2.13
Mg (0.6905, 0.7274, 0.6046)  4 O 1.94-2.13
S (0.3951, 0.5372, 0.4906)  4 O 1.46-1.50
S (0.6049, 0.0372, 0.0094)  4 O 1.46-1.50
S (0.1049, 0.4628, 0.9906)  4 O 1.46-1.50
S (0.8951, 0.9628, 0.5094)  4 O 1.46-1.50